(1)
SnIr3: optimized geometry, GGA-PBE.

The calculation puts the formation energy at 3.7 kJ/mol of atoms. The calculation puts the density at 18.2 g/cm3.

It has space group P6_3/mmc (No. 194), with a = 5.6860 Å, b = 5.6860 Å, c = 4.5379 Å, α = 90.00°, β = 90.00° and γ = 120.00°. The asymmetric unit holds Sn at (0.3333, 0.6667, 0.2500) and Ir at (0.1628, 0.3256, 0.7500).

---

(2)
Sn7Ir3: optimized geometry, GGA-PBE.

The calculation puts the formation energy at -25.5 kJ/mol of atoms. The calculation puts the density at 10.8 g/cm3.

It has space group Im-3m (No. 229), with a = 9.522 Å, b = 9.522 Å, c = 9.522 Å, α = 90.00°, β = 90.00° and γ = 90.00°. The asymmetric unit holds Sn at (0.000, 0.250, 0.500), Sn at (0.165, 0.165, 0.165) and Ir at (0.000, 0.000, 0.342).

---

(3)
Sn4Ir: optimized geometry, GGA-PBE.

The calculation puts the formation energy at -19.8 kJ/mol of atoms. The calculation puts the density at 9.3 g/cm3.

It has space group I4_1/acd (No. 142, origin choice 2), with a = 6.417 Å, b = 6.417 Å, c = 23.212 Å, α = 90.00°, β = 90.00° and γ = 90.00°. The asymmetric unit holds Sn at (0.173, 0.076, 0.438) and Ir at (0.000, 0.250, 0.125).

---

(4)
Sn4Ir: optimized geometry, GGA-PBE.

The calculation puts the formation energy at -19.0 kJ/mol of atoms. The calculation puts the density at 9.3 g/cm3.

It has space group Ccce (No. 68, origin choice 2), with a = 6.447 Å, b = 11.484 Å, c = 6.426 Å, α = 90.00°, β = 90.00° and γ = 90.00°. The asymmetric unit holds Sn at (0.173, 0.125, 0.077) and Ir at (0.000, 0.250, 0.750).

---

(5)
Sn7Ir5: optimized geometry, GGA-PBE.

The calculation puts the formation energy at -25.8 kJ/mol of atoms. The calculation puts the density at 12.1 g/cm3.

It has space group I4mm (No. 107), with a = 8.677 Å, b = 8.677 Å, c = 6.548 Å, α = 90.00°, β = 90.00° and γ = 90.00°. The asymmetric unit holds Sn at (0.000, 0.000, 0.000), Sn at (0.000, 0.500, 0.486), Sn at (0.215, 0.215, 0.390), Ir at (0.000, 0.000, 0.401) and Ir at (0.000, 0.243, 0.724).

---

(6)
TiSnIr: optimized geometry, GGA-PBE.

The calculation puts the formation energy at -54.9 kJ/mol of atoms. The calculation puts the density at 9.9 g/cm3.

It has space group F-43m (No. 216), with a = 6.212 Å, b = 6.212 Å, c = 6.212 Å, α = 90.00°, β = 90.00° and γ = 90.00°. The asymmetric unit holds Ti at (0.000, 0.000, 0.000), Sn at (0.000, 0.000, 0.500) and Ir at (0.250, 0.250, 0.250).

---

(7)
USnIr: optimized geometry, GGA-PBE.

The calculation puts the formation energy at -45.0 kJ/mol of atoms. The calculation puts the density at 14.3 g/cm3.

It has space group P-62m (No. 189), with a = 7.3800 Å, b = 7.3800 Å, c = 4.0617 Å, α = 90.00°, β = 90.00° and γ = 120.00°. The asymmetric unit holds U at (0.0000, 0.5837, 0.0000), Sn at (0.0000, 0.2529, 0.5000), Ir at (0.0000, 0.0000, 0.0000) and Ir at (0.3333, 0.6667, 0.5000).

---

(8)
YSnIr: optimized geometry, GGA-PBE.

The calculation puts the formation energy at -80.2 kJ/mol of atoms. The calculation puts the density at 10.3 g/cm3.

It has space group Pnma (No. 62), with a = 7.008 Å, b = 4.593 Å, c = 8.037 Å, α = 90.00°, β = 90.00° and γ = 90.00°. The asymmetric unit holds Y at (0.020, 0.250, 0.190), Sn at (0.168, 0.250, 0.573) and Ir at (0.229, 0.750, 0.398).

---

(9)
TaIr3: optimized geometry, GGA-PBE.

The calculation puts the formation energy at -67.6 kJ/mol of atoms. The calculation puts the density at 20.8 g/cm3.

It has space group Pm-3m (No. 221), with a = 3.928 Å, b = 3.928 Å, c = 3.928 Å, α = 90.00°, β = 90.00° and γ = 90.00°. The asymmetric unit holds Ta at (0.000, 0.000, 0.000) and Ir at (0.000, 0.500, 0.500).

---

(10)
TaIr: optimized geometry, GGA-PBE.

The calculation puts the formation energy at -57.9 kJ/mol of atoms. The calculation puts the density at 19.2 g/cm3.

It has space group Pmma (No. 51), with a = 13.852 Å, b = 2.881 Å, c = 4.864 Å, α = 90.00°, β = 90.00° and γ = 90.00°. The asymmetric unit holds Ta at (0.086, 0.000, 0.175), Ta at (0.250, 0.000, 0.551), Ir at (0.082, 0.500, 0.677) and Ir at (0.250, 0.500, 0.041).

---

(11)
TaIr3: optimized geometry, GGA-PBE.

The calculation puts the formation energy at -66.5 kJ/mol of atoms. The calculation puts the density at 20.7 g/cm3.

It has space group P6_3/mmc (No. 194), with a = 5.5885 Å, b = 5.5885 Å, c = 4.4895 Å, α = 90.00°, β = 90.00° and γ = 120.00°. The asymmetric unit holds Ta at (0.3333, 0.6667, 0.2500) and Ir at (0.1639, 0.3278, 0.7500).

---

(12)
TaTe4Ir: optimized geometry, GGA-PBE.

The calculation puts the formation energy at -35.4 kJ/mol of atoms. The calculation puts the density at 8.6 g/cm3.

It has space group Pmn2_1 (No. 31), with a = 3.838 Å, b = 12.633 Å, c = 14.047 Å, α = 90.00°, β = 90.00° and γ = 90.00°. The asymmetric unit holds Ta at (0.000, 0.054, 0.000), Ta at (0.000, 0.272, 0.488), Te at (0.000, 0.066, 0.393), Te at (0.000, 0.194, 0.858), Te at (0.000, 0.345, 0.087), Te at (0.000, 0.414, 0.628), Te at (0.000, 0.565, 0.398), Te at (0.000, 0.677, 0.852), Te at (0.000, 0.848, 0.096), Te at (0.000, 0.894, 0.636), Ir at (0.000, 0.535, 0.997) and Ir at (0.000, 0.754, 0.489).